{
  "formula": "GaAs",
  "functional": "PBE",
  "state": "relaxed",
  "space_group": "No. 1",
  "e_form_ev_per_atom": 0.108,
  "lattice": [[12.969, 0.000, 0.000], [0.380, 13.177, 0.000], [0.154, 0.563, 13.619]],
  "species": ["Ga", "Ga", "Ga", "Ga", "Ga", "Ga", "Ga", "Ga", "Ga", "Ga", "Ga", "Ga", "Ga", "Ga", "Ga", "Ga", "Ga", "Ga", "Ga", "Ga", "Ga", "Ga", "Ga", "Ga", "Ga", "Ga", "Ga", "Ga", "Ga", "Ga", "Ga", "Ga", "Ga", "Ga", "Ga", "Ga", "Ga", "Ga", "Ga", "Ga", "Ga", "Ga", "Ga", "Ga", "Ga", "Ga", "Ga", "Ga", "Ga", "Ga", "As", "As", "As", "As", "As", "As", "As", "As", "As", "As", "As", "As", "As", "As", "As", "As", "As", "As", "As", "As", "As", "As", "As", "As", "As", "As", "As", "As", "As", "As", "As", "As", "As", "As", "As", "As", "As", "As", "As", "As", "As", "As", "As", "As", "As", "As", "As", "As", "As", "As"],
  "frac_coords": [[0.000, 0.000, 0.000], [0.001, 0.284, 0.647], [0.049, 0.439, 0.282], [0.055, 0.814, 0.147], [0.075, 0.447, 0.075], [0.103, 0.746, 0.736], [0.120, 0.281, 0.952], [0.126, 0.107, 0.735], [0.147, 0.473, 0.888], [0.162, 0.729, 0.964], [0.195, 0.661, 0.157], [0.214, 0.304, 0.756], [0.214, 0.673, 0.408], [0.249, 0.493, 0.282], [0.267, 0.692, 0.604], [0.337, 0.119, 0.787], [0.360, 0.876, 0.648], [0.385, 0.054, 0.151], [0.390, 0.724, 0.133], [0.397, 0.884, 0.930], [0.405, 0.798, 0.350], [0.407, 0.691, 0.932], [0.505, 0.550, 0.035], [0.509, 0.124, 0.398], [0.538, 0.134, 0.905], [0.558, 0.528, 0.470], [0.586, 0.301, 0.537], [0.603, 0.830, 0.332], [0.609, 0.414, 0.763], [0.615, 0.181, 0.101], [0.632, 0.354, 0.226], [0.654, 0.089, 0.601], [0.659, 0.220, 0.782], [0.709, 0.537, 0.870], [0.718, 0.161, 0.276], [0.728, 0.562, 0.366], [0.745, 0.822, 0.996], [0.800, 0.165, 0.931], [0.823, 0.400, 0.294], [0.831, 0.963, 0.708], [0.832, 0.363, 0.792], [0.836, 0.169, 0.690], [0.839, 0.806, 0.371], [0.856, 0.057, 0.496], [0.856, 0.787, 0.615], [0.868, 0.224, 0.380], [0.978, 0.371, 0.462], [0.979, 0.620, 0.648], [0.979, 0.889, 0.487], [0.992, 0.624, 0.997], [0.001, 0.161, 0.879], [0.009, 0.678, 0.409], [0.012, 0.995, 0.320], [0.022, 0.450, 0.745], [0.063, 0.087, 0.553], [0.143, 0.217, 0.439], [0.165, 0.919, 0.524], [0.167, 0.868, 0.335], [0.178, 0.267, 0.138], [0.187, 0.918, 0.755], [0.196, 0.917, 0.938], [0.253, 0.625, 0.830], [0.261, 0.090, 0.357], [0.269, 0.144, 0.019], [0.283, 0.422, 0.111], [0.292, 0.237, 0.564], [0.303, 0.886, 0.200], [0.329, 0.394, 0.452], [0.366, 0.066, 0.515], [0.385, 0.263, 0.931], [0.389, 0.519, 0.576], [0.394, 0.195, 0.264], [0.409, 0.413, 0.732], [0.413, 0.604, 0.306], [0.474, 0.243, 0.676], [0.474, 0.972, 0.777], [0.506, 0.361, 0.383], [0.509, 0.354, 0.058], [0.522, 0.992, 0.037], [0.574, 0.564, 0.209], [0.574, 0.873, 0.548], [0.585, 0.750, 0.159], [0.617, 0.692, 0.933], [0.647, 0.891, 0.713], [0.660, 0.000, 0.404], [0.688, 0.945, 0.134], [0.695, 0.734, 0.492], [0.702, 0.465, 0.600], [0.726, 0.358, 0.988], [0.775, 0.295, 0.542], [0.801, 0.672, 0.215], [0.812, 0.091, 0.115], [0.816, 0.570, 0.061], [0.838, 0.961, 0.894], [0.874, 0.395, 0.108], [0.891, 0.909, 0.212], [0.892, 0.603, 0.821], [0.894, 0.550, 0.495], [0.949, 0.776, 0.872], [0.989, 0.627, 0.236]]
}

{
  "formula": "GaAs",
  "functional": "PBE",
  "state": "relaxed",
  "space_group": "No. 186",
  "e_form_ev_per_atom": -0.338,
  "piezo_max_c_m2": 0.5,
  "lattice": [[4.053, 0.000, 0.000], [-2.027, 3.510, 0.000], [0.000, 0.000, 6.680]],
  "species": ["Ga", "Ga", "As", "As"],
  "frac_coords": [[0.333, 0.667, 0.000], [0.667, 0.333, 0.500], [0.333, 0.667, 0.374], [0.667, 0.333, 0.874]]
}

{
  "formula": "GaAs",
  "functional": "PBE",
  "state": "relaxed",
  "space_group": "No. 44",
  "e_form_ev_per_atom": 0.000,
  "lattice": [[5.149, 0.000, 0.000], [0.000, 5.167, 0.000], [0.000, 0.000, 2.907]],
  "species": ["Ga", "Ga", "As", "As"],
  "frac_coords": [[0.000, 0.000, 0.000], [0.500, 0.500, 0.500], [0.000, 0.500, 0.756], [0.500, 0.000, 0.256]]
}

{
  "formula": "GaAs",
  "functional": "PBE",
  "state": "relaxed",
  "space_group": "No. 44",
  "e_form_ev_per_atom": -0.004,
  "lattice": [[4.956, 0.000, 0.000], [0.000, 5.263, 0.000], [0.000, 0.000, 2.970]],
  "species": ["Ga", "Ga", "As", "As"],
  "frac_coords": [[0.000, 0.000, 0.000], [0.500, 0.500, 0.500], [0.000, 0.500, 0.850], [0.500, 0.000, 0.350]]
}

{
  "formula": "GaAs",
  "functional": "PBE",
  "state": "relaxed",
  "space_group": "No. 205",
  "e_form_ev_per_atom": -0.208,
  "lattice": [[7.053, 0.000, 0.000], [0.000, 7.053, 0.000], [0.000, 0.000, 7.053]],
  "species": ["Ga", "Ga", "Ga", "Ga", "Ga", "Ga", "Ga", "Ga", "As", "As", "As", "As", "As", "As", "As", "As"],
  "frac_coords": [[0.158, 0.158, 0.158], [0.158, 0.342, 0.658], [0.342, 0.658, 0.158], [0.342, 0.842, 0.658], [0.658, 0.158, 0.342], [0.658, 0.342, 0.842], [0.842, 0.658, 0.342], [0.842, 0.842, 0.842], [0.141, 0.641, 0.859], [0.141, 0.859, 0.359], [0.359, 0.141, 0.859], [0.359, 0.359, 0.359], [0.641, 0.641, 0.641], [0.641, 0.859, 0.141], [0.859, 0.141, 0.641], [0.859, 0.359, 0.141]]
}

{
  "formula": "GaAs",
  "functional": "PBE",
  "state": "relaxed",
  "space_group": "No. 8",
  "e_form_ev_per_atom": 0.275,
  "lattice": [[7.345, -5.522, 0.000], [7.345, 5.522, 0.000], [-3.718, 0.000, 8.520]],
  "species": ["Ga", "Ga", "Ga", "Ga", "Ga", "Ga", "Ga", "Ga", "As", "As", "As", "As", "As", "As", "As", "As"],
  "frac_coords": [[0.000, 0.000, 0.000], [0.008, 0.337, 0.343], [0.049, 0.049, 0.584], [0.049, 0.767, 0.291], [0.337, 0.008, 0.343], [0.338, 0.338, 0.082], [0.759, 0.759, 0.548], [0.767, 0.049, 0.291], [0.180, 0.180, 0.169], [0.275, 0.867, 0.490], [0.608, 0.942, 0.380], [0.625, 0.625, 0.640], [0.856, 0.856, 0.066], [0.867, 0.275, 0.490], [0.941, 0.941, 0.725], [0.942, 0.608, 0.380]]
}

{
  "formula": "GaAs",
  "functional": "PBE",
  "state": "relaxed",
  "space_group": "No. 1",
  "e_form_ev_per_atom": 0.060,
  "lattice": [[12.786, 0.000, 0.000], [-0.289, 13.162, 0.000], [-1.673, -1.206, 14.150]],
  "species": ["Ga", "Ga", "Ga", "Ga", "Ga", "Ga", "Ga", "Ga", "Ga", "Ga", "Ga", "Ga", "Ga", "Ga", "Ga", "Ga", "Ga", "Ga", "Ga", "Ga", "Ga", "Ga", "Ga", "Ga", "Ga", "Ga", "Ga", "Ga", "Ga", "Ga", "Ga", "Ga", "Ga", "Ga", "Ga", "Ga", "Ga", "Ga", "Ga", "Ga", "Ga", "Ga", "Ga", "Ga", "Ga", "Ga", "Ga", "Ga", "Ga", "Ga", "As", "As", "As", "As", "As", "As", "As", "As", "As", "As", "As", "As", "As", "As", "As", "As", "As", "As", "As", "As", "As", "As", "As", "As", "As", "As", "As", "As", "As", "As", "As", "As", "As", "As", "As", "As", "As", "As", "As", "As", "As", "As", "As", "As", "As", "As", "As", "As", "As", "As"],
  "frac_coords": [[0.000, 0.000, 0.000], [0.000, 0.668, 0.913], [0.001, 0.489, 0.597], [0.054, 0.020, 0.696], [0.062, 0.663, 0.393], [0.076, 0.991, 0.272], [0.097, 0.536, 0.251], [0.110, 0.076, 0.875], [0.193, 0.895, 0.653], [0.198, 0.135, 0.192], [0.212, 0.985, 0.053], [0.226, 0.710, 0.515], [0.236, 0.868, 0.288], [0.267, 0.703, 0.833], [0.303, 0.524, 0.353], [0.352, 0.718, 0.061], [0.360, 0.962, 0.758], [0.366, 0.404, 0.197], [0.376, 0.712, 0.300], [0.421, 0.119, 0.447], [0.469, 0.974, 0.033], [0.495, 0.797, 0.623], [0.497, 0.492, 0.908], [0.513, 0.389, 0.578], [0.547, 0.141, 0.097], [0.552, 0.693, 0.219], [0.559, 0.452, 0.190], [0.562, 0.244, 0.960], [0.581, 0.048, 0.621], [0.660, 0.761, 0.841], [0.677, 0.031, 0.265], [0.704, 0.577, 0.165], [0.721, 0.277, 0.446], [0.721, 0.581, 0.801], [0.728, 0.889, 0.401], [0.728, 0.894, 0.150], [0.763, 0.997, 0.677], [0.769, 0.752, 0.532], [0.787, 0.458, 0.921], [0.814, 0.108, 0.410], [0.837, 0.365, 0.762], [0.862, 0.818, 0.911], [0.891, 0.417, 0.289], [0.900, 0.558, 0.162], [0.902, 0.166, 0.125], [0.903, 0.985, 0.820], [0.924, 0.871, 0.522], [0.935, 0.282, 0.545], [0.974, 0.813, 0.702], [0.987, 0.347, 0.108], [0.027, 0.850, 0.387], [0.036, 0.316, 0.783], [0.037, 0.307, 0.362], [0.041, 0.242, 0.941], [0.097, 0.197, 0.655], [0.131, 0.750, 0.136], [0.141, 0.710, 0.675], [0.150, 0.344, 0.233], [0.153, 0.465, 0.758], [0.180, 0.797, 0.979], [0.208, 0.896, 0.474], [0.239, 0.591, 0.145], [0.246, 0.409, 0.035], [0.255, 0.206, 0.486], [0.290, 0.200, 0.663], [0.302, 0.514, 0.911], [0.311, 0.053, 0.921], [0.311, 0.393, 0.690], [0.318, 0.391, 0.510], [0.357, 0.239, 0.995], [0.370, 0.901, 0.161], [0.385, 0.210, 0.165], [0.395, 0.606, 0.704], [0.408, 0.640, 0.535], [0.437, 0.943, 0.525], [0.455, 0.780, 0.793], [0.486, 0.010, 0.299], [0.523, 0.865, 0.395], [0.536, 0.674, 0.029], [0.546, 0.495, 0.743], [0.547, 0.029, 0.789], [0.563, 0.217, 0.788], [0.578, 0.214, 0.537], [0.607, 0.844, 0.000], [0.636, 0.416, 0.015], [0.691, 0.458, 0.526], [0.691, 0.815, 0.672], [0.702, 0.348, 0.284], [0.719, 0.190, 0.187], [0.729, 0.595, 0.421], [0.746, 0.758, 0.260], [0.754, 0.192, 0.766], [0.820, 0.515, 0.664], [0.860, 0.160, 0.926], [0.890, 0.050, 0.570], [0.916, 0.547, 0.432], [0.924, 0.926, 0.133], [0.937, 0.736, 0.090], [0.960, 0.139, 0.305], [0.964, 0.499, 0.006]]
}

{
  "formula": "KGaAs3H7O13",
  "functional": "PBE",
  "state": "relaxed",
  "space_group": "No. 7",
  "e_form_ev_per_atom": -1.629,
  "lattice": [[4.713, 0.000, 0.000], [0.000, 8.722, 0.000], [-3.640, 0.000, 14.181]],
  "species": ["K", "K", "Ga", "Ga", "As", "As", "As", "As", "As", "As", "H", "H", "H", "H", "H", "H", "H", "H", "H", "H", "H", "H", "H", "H", "O", "O", "O", "O", "O", "O", "O", "O", "O", "O", "O", "O", "O", "O", "O", "O", "O", "O", "O", "O", "O", "O", "O", "O", "O", "O"],
  "frac_coords": [[0.000, 0.007, 0.000], [0.000, 0.993, 0.500], [0.888, 0.230, 0.764], [0.888, 0.770, 0.264], [0.286, 0.343, 0.618], [0.286, 0.657, 0.118], [0.387, 0.027, 0.264], [0.387, 0.973, 0.764], [0.492, 0.354, 0.908], [0.492, 0.646, 0.408], [0.029, 0.410, 0.301], [0.029, 0.590, 0.801], [0.063, 0.221, 0.204], [0.063, 0.779, 0.704], [0.330, 0.326, 0.043], [0.330, 0.674, 0.543], [0.456, 0.335, 0.485], [0.456, 0.665, 0.985], [0.708, 0.223, 0.322], [0.708, 0.777, 0.822], [0.743, 0.409, 0.224], [0.743, 0.591, 0.724], [0.927, 0.498, 0.027], [0.927, 0.502, 0.527], [0.042, 0.220, 0.647], [0.042, 0.780, 0.147], [0.122, 0.479, 0.081], [0.122, 0.521, 0.581], [0.165, 0.063, 0.823], [0.165, 0.937, 0.323], [0.175, 0.393, 0.823], [0.175, 0.607, 0.323], [0.184, 0.149, 0.176], [0.184, 0.851, 0.676], [0.349, 0.258, 0.517], [0.349, 0.742, 0.017], [0.415, 0.252, 0.005], [0.415, 0.748, 0.505], [0.595, 0.070, 0.703], [0.595, 0.930, 0.203], [0.599, 0.146, 0.352], [0.599, 0.854, 0.852], [0.601, 0.394, 0.700], [0.601, 0.606, 0.200], [0.652, 0.478, 0.453], [0.652, 0.522, 0.953], [0.726, 0.227, 0.877], [0.726, 0.773, 0.377], [0.885, 0.336, 0.263], [0.885, 0.664, 0.763]]
}

{
  "formula": "GaAsH4O6",
  "functional": "PBE",
  "state": "relaxed",
  "space_group": "No. 61",
  "e_form_ev_per_atom": -1.588,
  "relative_energy_mev_per_atom": 0.0,
  "lattice": [[9.019, 0.000, 0.000], [0.000, 10.072, 0.000], [0.000, 0.000, 10.496]],
  "species": ["Ga", "Ga", "Ga", "Ga", "Ga", "Ga", "Ga", "Ga", "As", "As", "As", "As", "As", "As", "As", "As", "H", "H", "H", "H", "H", "H", "H", "H", "H", "H", "H", "H", "H", "H", "H", "H", "H", "H", "H", "H", "H", "H", "H", "H", "H", "H", "H", "H", "H", "H", "H", "H", "O", "O", "O", "O", "O", "O", "O", "O", "O", "O", "O", "O", "O", "O", "O", "O", "O", "O", "O", "O", "O", "O", "O", "O", "O", "O", "O", "O", "O", "O", "O", "O", "O", "O", "O", "O", "O", "O", "O", "O", "O", "O", "O", "O", "O", "O", "O", "O"],
  "frac_coords": [[0.153, 0.181, 0.130], [0.153, 0.319, 0.630], [0.347, 0.681, 0.130], [0.347, 0.819, 0.630], [0.653, 0.181, 0.370], [0.653, 0.319, 0.870], [0.847, 0.681, 0.370], [0.847, 0.819, 0.870], [0.027, 0.638, 0.648], [0.027, 0.862, 0.148], [0.473, 0.138, 0.648], [0.473, 0.362, 0.148], [0.527, 0.638, 0.852], [0.527, 0.862, 0.352], [0.973, 0.138, 0.852], [0.973, 0.362, 0.352], [0.082, 0.587, 0.074], [0.082, 0.913, 0.574], [0.166, 0.591, 0.318], [0.166, 0.909, 0.818], [0.193, 0.178, 0.371], [0.193, 0.322, 0.871], [0.205, 0.033, 0.579], [0.205, 0.467, 0.079], [0.295, 0.533, 0.579], [0.295, 0.967, 0.079], [0.307, 0.678, 0.371], [0.307, 0.822, 0.871], [0.334, 0.091, 0.318], [0.334, 0.409, 0.818], [0.418, 0.087, 0.074], [0.418, 0.413, 0.574], [0.582, 0.587, 0.426], [0.582, 0.913, 0.926], [0.666, 0.591, 0.182], [0.666, 0.909, 0.682], [0.693, 0.178, 0.129], [0.693, 0.322, 0.629], [0.705, 0.033, 0.921], [0.705, 0.467, 0.421], [0.795, 0.533, 0.921], [0.795, 0.967, 0.421], [0.807, 0.678, 0.129], [0.807, 0.822, 0.629], [0.834, 0.091, 0.182], [0.834, 0.409, 0.682], [0.918, 0.087, 0.426], [0.918, 0.413, 0.926], [0.001, 0.532, 0.360], [0.001, 0.968, 0.860], [0.007, 0.199, 0.703], [0.007, 0.301, 0.203], [0.083, 0.226, 0.957], [0.083, 0.274, 0.457], [0.184, 0.563, 0.053], [0.184, 0.937, 0.553], [0.212, 0.664, 0.612], [0.212, 0.836, 0.112], [0.229, 0.119, 0.300], [0.229, 0.381, 0.800], [0.271, 0.619, 0.300], [0.271, 0.881, 0.800], [0.288, 0.164, 0.612], [0.288, 0.336, 0.112], [0.316, 0.063, 0.053], [0.316, 0.437, 0.553], [0.417, 0.726, 0.957], [0.417, 0.774, 0.457], [0.493, 0.699, 0.703], [0.493, 0.801, 0.203], [0.499, 0.032, 0.360], [0.499, 0.468, 0.860], [0.501, 0.532, 0.140], [0.501, 0.968, 0.640], [0.507, 0.199, 0.797], [0.507, 0.301, 0.297], [0.583, 0.226, 0.543], [0.583, 0.274, 0.043], [0.684, 0.563, 0.447], [0.684, 0.937, 0.947], [0.712, 0.664, 0.888], [0.712, 0.836, 0.388], [0.729, 0.119, 0.200], [0.729, 0.381, 0.700], [0.771, 0.619, 0.200], [0.771, 0.881, 0.700], [0.788, 0.164, 0.888], [0.788, 0.336, 0.388], [0.816, 0.063, 0.447], [0.816, 0.437, 0.947], [0.917, 0.726, 0.543], [0.917, 0.774, 0.043], [0.993, 0.699, 0.797], [0.993, 0.801, 0.297], [0.999, 0.032, 0.140], [0.999, 0.468, 0.640]]
}